(1)
# Li4ZnP2S8 | the Materials Project database | GGA-PBE | optimized geometry
# Crystal system: triclinic
# ΔH_f (0 K) (eV/atom): -1.06
data_Li4ZnP2S8
_cell_length_a 6.252
_cell_length_b 10.284
_cell_length_c 10.326
_cell_angle_alpha 101.79
_cell_angle_beta 95.21
_cell_angle_gamma 100.07
_space_group_name_H-M_alt 'P 1'
_space_group_IT_number 1
_space_group_name_Hall 'P 1'
loop_
_atom_site_label
_atom_site_type_symbol
_atom_site_fract_x
_atom_site_fract_y
_atom_site_fract_z
Li1 Li 0.000 0.000 0.000
Li2 Li 0.054 0.121 0.697
Li3 Li 0.274 0.505 0.746
Li4 Li 0.480 0.980 0.493
Li5 Li 0.583 0.130 0.175
Li6 Li 0.643 0.260 0.864
Li7 Li 0.779 0.515 0.250
Li8 Li 0.873 0.742 0.636
Zn1 Zn 0.144 0.257 0.369
Zn2 Zn 0.373 0.745 0.122
P1 P 0.195 0.379 0.057
P2 P 0.442 0.884 0.818
P3 P 0.704 0.363 0.555
P4 P 0.940 0.876 0.312
S1 S 0.041 0.831 0.127
S2 S 0.130 0.923 0.794
S3 S 0.134 0.050 0.440
S4 S 0.219 0.212 0.146
S5 S 0.290 0.327 0.872
S6 S 0.399 0.542 0.189
S7 S 0.402 0.417 0.527
S8 S 0.457 0.718 0.903
S9 S 0.540 0.830 0.636
S10 S 0.627 0.922 0.278
S11 S 0.649 0.053 0.941
S12 S 0.692 0.192 0.630
S13 S 0.802 0.325 0.363
S14 S 0.890 0.417 0.041
S15 S 0.897 0.523 0.684
S16 S 0.955 0.723 0.404

=====

(2)
# Li4ZnP2S8 | the Materials Project database | GGA-PBE | optimized geometry
# Crystal system: triclinic
# ΔH_f (0 K) (eV/atom): -1.06
data_Li4ZnP2S8
_cell_length_a 5.784
_cell_length_b 6.240
_cell_length_c 10.197
_cell_angle_alpha 79.86
_cell_angle_beta 73.97
_cell_angle_gamma 62.53
_space_group_name_H-M_alt 'P 1'
_space_group_IT_number 1
_space_group_name_Hall 'P 1'
loop_
_atom_site_label
_atom_site_type_symbol
_atom_site_fract_x
_atom_site_fract_y
_atom_site_fract_z
Li1 Li 0.000 0.000 0.000
Li2 Li 0.126 0.132 0.636
Li3 Li 0.362 0.382 0.884
Li4 Li 0.633 0.603 0.153
Zn1 Zn 0.899 0.850 0.403
P1 P 0.275 0.232 0.267
P2 P 0.742 0.744 0.773
S1 S 0.015 0.811 0.610
S2 S 0.203 0.955 0.222
S3 S 0.370 0.035 0.811
S4 S 0.449 0.152 0.430
S5 S 0.512 0.312 0.096
S6 S 0.709 0.458 0.729
S7 S 0.899 0.512 0.325
S8 S 0.908 0.677 0.941

=====

(3)
# Li10ZnP4S16 | the Materials Project database | GGA-PBE | optimized geometry
# Crystal system: triclinic
# ΔH_f (0 K) (eV/atom): -1.12
data_Li10ZnP4S16
_cell_length_a 7.911
_cell_length_b 12.356
_cell_length_c 12.992
_cell_angle_alpha 89.84
_cell_angle_beta 89.99
_cell_angle_gamma 89.84
_space_group_name_H-M_alt 'P 1'
_space_group_IT_number 1
_space_group_name_Hall 'P 1'
loop_
_atom_site_label
_atom_site_type_symbol
_atom_site_fract_x
_atom_site_fract_y
_atom_site_fract_z
Li1 Li 0.000 0.000 0.000
Li2 Li 0.000 0.005 0.502
Li3 Li 0.227 0.247 0.914
Li4 Li 0.235 0.253 0.419
Li5 Li 0.254 0.748 0.416
Li6 Li 0.477 0.507 0.000
Li7 Li 0.483 0.259 0.686
Li8 Li 0.484 0.997 0.001
Li9 Li 0.486 0.009 0.502
Li10 Li 0.487 0.756 0.692
Li11 Li 0.490 0.507 0.492
Li12 Li 0.515 0.743 0.184
Li13 Li 0.730 0.998 0.771
Li14 Li 0.732 0.502 0.768
Li15 Li 0.746 0.991 0.274
Li16 Li 0.968 0.255 0.683
Li17 Li 0.980 0.260 0.186
Li18 Li 0.987 0.504 0.492
Li19 Li 0.997 0.509 0.002
Li20 Li 0.997 0.748 0.184
Zn1 Zn 0.496 0.260 0.187
Zn2 Zn 0.989 0.754 0.692
P1 P 0.230 0.505 0.750
P2 P 0.239 0.005 0.757
P3 P 0.242 0.500 0.251
P4 P 0.249 0.002 0.253
P5 P 0.732 0.260 0.432
P6 P 0.737 0.257 0.936
P7 P 0.743 0.760 0.438
P8 P 0.749 0.755 0.939
S1 S 0.015 0.452 0.676
S2 S 0.019 0.947 0.682
S3 S 0.028 0.452 0.180
S4 S 0.033 0.950 0.182
S5 S 0.226 0.171 0.742
S6 S 0.233 0.673 0.757
S7 S 0.234 0.446 0.899
S8 S 0.241 0.450 0.402
S9 S 0.241 0.948 0.902
S10 S 0.244 0.174 0.245
S11 S 0.246 0.952 0.404
S12 S 0.255 0.667 0.245
S13 S 0.447 0.455 0.676
S14 S 0.451 0.951 0.680
S15 S 0.463 0.947 0.182
S16 S 0.467 0.449 0.183
S17 S 0.518 0.203 0.505
S18 S 0.519 0.199 0.011
S19 S 0.529 0.702 0.000
S20 S 0.530 0.703 0.512
S21 S 0.725 0.200 0.788
S22 S 0.733 0.194 0.281
S23 S 0.736 0.422 0.424
S24 S 0.737 0.423 0.941
S25 S 0.743 0.704 0.782
S26 S 0.743 0.927 0.449
S27 S 0.744 0.923 0.941
S28 S 0.756 0.702 0.294
S29 S 0.948 0.200 0.501
S30 S 0.950 0.198 0.008
S31 S 0.963 0.703 0.514
S32 S 0.968 0.705 0.002

=====

(4)
# Li4ZnP2S8 | the Materials Project database | GGA-PBE | optimized geometry
# Crystal system: triclinic
# ΔH_f (0 K) (eV/atom): -1.06
data_Li4ZnP2S8
_cell_length_a 6.409
_cell_length_b 7.913
_cell_length_c 18.474
_cell_angle_alpha 89.74
_cell_angle_beta 89.77
_cell_angle_gamma 89.80
_space_group_name_H-M_alt 'P 1'
_space_group_IT_number 1
_space_group_name_Hall 'P 1'
loop_
_atom_site_label
_atom_site_type_symbol
_atom_site_fract_x
_atom_site_fract_y
_atom_site_fract_z
Li1 Li 0.000 0.000 0.000
Li2 Li 0.001 0.508 0.998
Li3 Li 0.360 0.507 0.172
Li4 Li 0.368 0.015 0.169
Li5 Li 0.377 0.027 0.505
Li6 Li 0.383 0.016 0.829
Li7 Li 0.385 0.499 0.831
Li8 Li 0.541 0.259 0.008
Li9 Li 0.557 0.291 0.338
Li10 Li 0.836 0.738 0.174
Li11 Li 0.839 0.758 0.839
Li12 Li 0.996 0.518 0.669
Zn1 Zn 0.386 0.521 0.499
Zn2 Zn 0.990 0.015 0.665
Zn3 Zn 0.994 0.010 0.338
P1 P 0.490 0.764 0.664
P2 P 0.505 0.757 0.002
P3 P 0.515 0.774 0.336
P4 P 0.865 0.262 0.172
P5 P 0.871 0.253 0.833
P6 P 0.884 0.269 0.500
S1 S 0.001 0.041 0.536
S2 S 0.003 0.035 0.208
S3 S 0.007 0.463 0.216
S4 S 0.019 0.469 0.867
S5 S 0.022 0.039 0.868
S6 S 0.030 0.482 0.537
S7 S 0.351 0.987 0.697
S8 S 0.358 0.543 0.040
S9 S 0.359 0.561 0.373
S10 S 0.360 0.993 0.371
S11 S 0.361 0.973 0.038
S12 S 0.367 0.547 0.700
S13 S 0.488 0.763 0.225
S14 S 0.490 0.757 0.890
S15 S 0.514 0.768 0.552
S16 S 0.558 0.260 0.205
S17 S 0.573 0.255 0.874
S18 S 0.579 0.279 0.536
S19 S 0.799 0.774 0.704
S20 S 0.809 0.753 0.037
S21 S 0.813 0.768 0.373
S22 S 0.856 0.259 0.720
S23 S 0.889 0.254 0.060
S24 S 0.917 0.279 0.388

=====

(5)
# Li4ZnP2S8 | the Materials Project database | GGA-PBE | optimized geometry
# Crystal system: triclinic
# ΔH_f (0 K) (eV/atom): -1.06
data_Li4ZnP2S8
_cell_length_a 6.145
_cell_length_b 10.358
_cell_length_c 10.387
_cell_angle_alpha 101.24
_cell_angle_beta 103.13
_cell_angle_gamma 93.06
_space_group_name_H-M_alt 'P 1'
_space_group_IT_number 1
_space_group_name_Hall 'P 1'
loop_
_atom_site_label
_atom_site_type_symbol
_atom_site_fract_x
_atom_site_fract_y
_atom_site_fract_z
Li1 Li 0.000 0.000 0.000
Li2 Li 0.005 0.309 0.973
Li3 Li 0.178 0.302 0.355
Li4 Li 0.247 0.772 0.504
Li5 Li 0.385 0.141 0.754
Li6 Li 0.503 0.523 0.003
Li7 Li 0.605 0.552 0.341
Li8 Li 0.766 0.261 0.521
Zn1 Zn 0.641 0.899 0.258
Zn2 Zn 0.895 0.642 0.756
P1 P 0.091 0.706 0.136
P2 P 0.332 0.462 0.637
P3 P 0.567 0.209 0.132
P4 P 0.807 0.946 0.632
S1 S 0.028 0.066 0.794
S2 S 0.034 0.436 0.698
S3 S 0.101 0.777 0.964
S4 S 0.209 0.525 0.128
S5 S 0.238 0.195 0.143
S6 S 0.282 0.848 0.295
S7 S 0.288 0.534 0.464
S8 S 0.409 0.271 0.583
S9 S 0.504 0.930 0.674
S10 S 0.543 0.590 0.798
S11 S 0.597 0.290 0.969
S12 S 0.662 0.019 0.090
S13 S 0.764 0.330 0.305
S14 S 0.772 0.691 0.177
S15 S 0.841 0.028 0.468
S16 S 0.900 0.753 0.580

=====

(6)
# Li4ZnP2S8 | the Materials Project database | GGA-PBE | optimized geometry
# Crystal system: triclinic
# ΔH_f (0 K) (eV/atom): -1.06
data_Li4ZnP2S8
_cell_length_a 10.248
_cell_length_b 10.278
_cell_length_c 10.281
_cell_angle_alpha 77.31
_cell_angle_beta 65.78
_cell_angle_gamma 75.17
_space_group_name_H-M_alt 'P 1'
_space_group_IT_number 1
_space_group_name_Hall 'P 1'
loop_
_atom_site_label
_atom_site_type_symbol
_atom_site_fract_x
_atom_site_fract_y
_atom_site_fract_z
Li1 Li 0.000 0.000 0.000
Li2 Li 0.032 0.886 0.665
Li3 Li 0.140 0.627 0.989
Li4 Li 0.215 0.391 0.333
Li5 Li 0.295 0.134 0.663
Li6 Li 0.335 0.011 0.324
Li7 Li 0.389 0.875 0.983
Li8 Li 0.623 0.135 0.002
Li9 Li 0.704 0.891 0.351
Li10 Li 0.786 0.643 0.678
Li11 Li 0.840 0.521 0.345
Li12 Li 0.958 0.147 0.336
Zn1 Zn 0.452 0.636 0.336
Zn2 Zn 0.532 0.386 0.679
Zn3 Zn 0.876 0.389 0.000
P1 P 0.088 0.768 0.327
P2 P 0.253 0.259 0.000
P3 P 0.405 0.759 0.664
P4 P 0.590 0.258 0.331
P5 P 0.749 0.759 0.012
P6 P 0.911 0.266 0.673
S1 S 0.043 0.211 0.074
S2 S 0.045 0.097 0.729
S3 S 0.092 0.933 0.407
S4 S 0.152 0.805 0.107
S5 S 0.206 0.712 0.738
S6 S 0.216 0.601 0.400
S7 S 0.256 0.418 0.082
S8 S 0.310 0.309 0.780
S9 S 0.383 0.087 0.058
S10 S 0.384 0.215 0.406
S11 S 0.431 0.919 0.730
S12 S 0.479 0.806 0.438
S13 S 0.547 0.705 0.087
S14 S 0.549 0.595 0.720
S15 S 0.587 0.430 0.419
S16 S 0.647 0.317 0.113
S17 S 0.708 0.215 0.745
S18 S 0.721 0.103 0.400
S19 S 0.754 0.921 0.096
S20 S 0.804 0.808 0.798
S21 S 0.883 0.720 0.419
S22 S 0.888 0.588 0.075
S23 S 0.925 0.430 0.751
S24 S 0.982 0.316 0.452

=====

(7)
# Li10ZnP4S16 | the Materials Project database | GGA-PBE | optimized geometry
# Crystal system: triclinic
# ΔH_f (0 K) (eV/atom): -1.12
data_Li10ZnP4S16
_cell_length_a 6.179
_cell_length_b 7.899
_cell_length_c 13.001
_cell_angle_alpha 89.94
_cell_angle_beta 89.84
_cell_angle_gamma 89.82
_space_group_name_H-M_alt 'P 1'
_space_group_IT_number 1
_space_group_name_Hall 'P 1'
loop_
_atom_site_label
_atom_site_type_symbol
_atom_site_fract_x
_atom_site_fract_y
_atom_site_fract_z
Li1 Li 0.000 0.000 0.000
Li2 Li 0.000 0.252 0.237
Li3 Li 0.006 0.512 0.003
Li4 Li 0.008 0.004 0.510
Li5 Li 0.493 0.762 0.086
Li6 Li 0.498 0.013 0.810
Li7 Li 0.501 0.503 0.321
Li8 Li 0.505 0.016 0.322
Li9 Li 0.505 0.517 0.815
Li10 Li 0.992 0.263 0.735
Zn1 Zn 0.008 0.531 0.511
P1 P 0.011 0.763 0.255
P2 P 0.012 0.759 0.750
P3 P 0.490 0.272 0.568
P4 P 0.507 0.259 0.070
S1 S 0.338 0.762 0.746
S2 S 0.343 0.761 0.259
S3 S 0.391 0.497 0.502
S4 S 0.395 0.270 0.720
S5 S 0.396 0.046 0.997
S6 S 0.396 0.057 0.500
S7 S 0.400 0.259 0.221
S8 S 0.400 0.476 0.998
S9 S 0.834 0.273 0.558
S10 S 0.841 0.257 0.066
S11 S 0.874 0.761 0.603
S12 S 0.892 0.976 0.819
S13 S 0.896 0.754 0.108
S14 S 0.898 0.544 0.824
S15 S 0.899 0.976 0.329
S16 S 0.901 0.544 0.331

=====

(8)
# Li10ZnP4S16 | the Materials Project database | GGA-PBE | optimized geometry
# Crystal system: triclinic
# ΔH_f (0 K) (eV/atom): -1.12
data_Li10ZnP4S16
_cell_length_a 10.236
_cell_length_b 10.246
_cell_length_c 13.995
_cell_angle_alpha 107.27
_cell_angle_beta 106.97
_cell_angle_gamma 101.17
_space_group_name_H-M_alt 'P 1'
_space_group_IT_number 1
_space_group_name_Hall 'P 1'
loop_
_atom_site_label
_atom_site_type_symbol
_atom_site_fract_x
_atom_site_fract_y
_atom_site_fract_z
Li1 Li 0.000 0.000 0.000
Li2 Li 0.001 0.502 0.505
Li3 Li 0.055 0.061 0.753
Li4 Li 0.160 0.915 0.245
Li5 Li 0.236 0.743 0.994
Li6 Li 0.256 0.249 0.502
Li7 Li 0.308 0.321 0.254
Li8 Li 0.314 0.802 0.747
Li9 Li 0.410 0.152 0.741
Li10 Li 0.490 0.990 0.501
Li11 Li 0.555 0.560 0.745
Li12 Li 0.558 0.056 0.254
Li13 Li 0.635 0.891 0.994
Li14 Li 0.663 0.413 0.253
Li15 Li 0.737 0.736 0.502
Li16 Li 0.747 0.249 0.000
Li17 Li 0.792 0.810 0.249
Li18 Li 0.815 0.301 0.752
Li19 Li 0.886 0.135 0.495
Li20 Li 0.906 0.660 0.743
Zn1 Zn 0.065 0.559 0.253
Zn2 Zn 0.486 0.487 0.997
P1 P 0.115 0.872 0.495
P2 P 0.184 0.426 0.751
P3 P 0.371 0.124 0.002
P4 P 0.417 0.680 0.249
P5 P 0.625 0.366 0.501
P6 P 0.678 0.927 0.752
P7 P 0.867 0.616 0.001
P8 P 0.936 0.183 0.254
S1 S 0.006 0.250 0.693
S2 S 0.022 0.270 0.419
S3 S 0.086 0.122 0.197
S4 S 0.123 0.583 0.702
S5 S 0.131 0.666 0.442
S6 S 0.171 0.136 0.948
S7 S 0.192 0.942 0.660
S8 S 0.237 0.500 0.183
S9 S 0.240 0.997 0.444
S10 S 0.260 0.506 0.919
S11 S 0.339 0.365 0.699
S12 S 0.361 0.832 0.191
S13 S 0.386 0.919 0.945
S14 S 0.424 0.378 0.446
S15 S 0.452 0.203 0.169
S16 S 0.499 0.249 0.947
S17 S 0.505 0.752 0.693
S18 S 0.505 0.755 0.411
S19 S 0.569 0.608 0.189
S20 S 0.619 0.082 0.698
S21 S 0.637 0.159 0.448
S22 S 0.657 0.630 0.950
S23 S 0.703 0.444 0.668
S24 S 0.753 0.492 0.450
S25 S 0.754 0.011 0.195
S26 S 0.770 0.020 0.919
S27 S 0.834 0.868 0.698
S28 S 0.873 0.339 0.198
S29 S 0.880 0.418 0.948
S30 S 0.907 0.878 0.443
S31 S 0.945 0.700 0.171
S32 S 0.984 0.746 0.948

=====

The records above yield M_tot values of 0.0; 0.0; 0.0; 0.0; 0.0; 0.0; 0.0; 0.0 μB per formula unit, respectively.
The records above yield energy above the most stable polymorph in this dataset values of 1; 2; 2; 1; 2; 2; 2; 2 meV per atom, respectively.
The records above yield VASP energy values of -129.45; -64.71; -269.83; -194.16; -129.41; -194.13; -134.94; -269.88 eV for the cell shown, respectively.